(1)
Density functional theory data (PBE) for a relaxed Tl3GeF7 crystal.

```
Tl3GeF7
1.0
8.238 0.000 0.000
0.000 8.238 0.000
0.000 0.000 6.050
Tl F Ge
6 14 2
Direct
0.500 0.500 0.000
0.300 0.800 0.500
0.700 0.200 0.500
0.200 0.300 0.500
0.800 0.700 0.500
0.000 0.000 0.000
0.610 0.890 0.216
0.890 0.390 0.784
0.500 0.500 0.500
0.110 0.610 0.784
0.390 0.110 0.216
0.890 0.390 0.216
0.843 0.657 0.000
0.110 0.610 0.216
0.610 0.890 0.784
0.390 0.110 0.784
0.657 0.157 0.000
0.157 0.343 0.000
0.343 0.843 0.000
0.000 0.000 0.500
0.000 0.500 0.000
0.500 0.000 0.000
```

Formation enthalpy at 0 K (eV/atom): -2.43
Calculated total energy (eV for the cell shown): -97.23

---

(2)
Density functional theory data (PBE) for a relaxed TbErO3 crystal.

```
TbErO3
1.0
4.250 0.000 0.000
0.000 4.250 0.000
0.000 0.000 4.250
O Er Tb
3 1 1
Direct
0.500 0.500 0.000
0.000 0.500 0.500
0.500 0.000 0.500
0.500 0.500 0.500
0.000 0.000 0.000
```

Formation enthalpy at 0 K (eV/atom): -3.19
Calculated total energy (eV for the cell shown): -37.96
Total magnetization (μB per formula unit): 0.0

---

> The highest calculated total energy belongs to which entry?

TbErO3

---

> calculated total energy of number 1 (Tl3GeF7)?

-97.23 eV for the cell shown

---

> Which of these has the lowest calculated total energy?

Tl3GeF7